(1)
An optimized crystal structure of Sm23Mg4Rh7. Source: the Materials Project, functional PBE.

## Properties
- total DFT energy (no corrections) (eV/atom) = -5.31
- magnetization (μB per formula unit) = 1.39
- V (Å³ per atom) = 28.262
- formation enthalpy at 0 K (meV per atom) = -412

a = 9.949 Å, b = 9.949 Å, c = 22.420 Å
α = 90.00°, β = 90.00°, γ = 120.00°
Fractional positions:
Sm: 0.000 0.000 0.052
Sm: 0.000 0.000 0.552
Sm: 0.080 0.540 0.137
Sm: 0.084 0.542 0.408
Sm: 0.129 0.257 0.687
Sm: 0.129 0.871 0.687
Sm: 0.205 0.411 0.834
Sm: 0.205 0.795 0.834
Sm: 0.208 0.416 0.000
Sm: 0.208 0.416 0.271
Sm: 0.208 0.792 0.000
Sm: 0.208 0.792 0.271
Sm: 0.210 0.421 0.543
Sm: 0.210 0.790 0.543
Sm: 0.257 0.129 0.187
Sm: 0.333 0.667 0.697
Sm: 0.411 0.205 0.334
Sm: 0.416 0.208 0.500
Sm: 0.416 0.208 0.771
Sm: 0.421 0.210 0.043
Sm: 0.458 0.542 0.408
Sm: 0.458 0.916 0.408
Sm: 0.460 0.540 0.137
Sm: 0.460 0.920 0.137
Sm: 0.540 0.080 0.637
Sm: 0.540 0.460 0.637
Sm: 0.542 0.084 0.908
Sm: 0.542 0.458 0.908
Sm: 0.579 0.790 0.543
Sm: 0.584 0.792 0.000
Sm: 0.584 0.792 0.271
Sm: 0.589 0.795 0.834
Sm: 0.667 0.333 0.197
Sm: 0.743 0.871 0.687
Sm: 0.790 0.210 0.043
Sm: 0.790 0.579 0.043
Sm: 0.792 0.208 0.500
Sm: 0.792 0.208 0.771
Sm: 0.792 0.584 0.500
Sm: 0.792 0.584 0.771
Sm: 0.795 0.205 0.334
Sm: 0.795 0.589 0.334
Sm: 0.871 0.129 0.187
Sm: 0.871 0.743 0.187
Sm: 0.916 0.458 0.908
Sm: 0.920 0.460 0.637
Mg: 0.000 0.000 0.302
Mg: 0.000 0.000 0.802
Mg: 0.106 0.212 0.415
Mg: 0.106 0.894 0.415
Mg: 0.212 0.106 0.915
Mg: 0.788 0.894 0.415
Mg: 0.894 0.106 0.915
Mg: 0.894 0.788 0.915
Rh: 0.042 0.521 0.761
Rh: 0.143 0.287 0.116
Rh: 0.143 0.857 0.116
Rh: 0.287 0.143 0.616
Rh: 0.333 0.667 0.916
Rh: 0.479 0.521 0.761
Rh: 0.479 0.958 0.761
Rh: 0.521 0.042 0.261
Rh: 0.521 0.479 0.261
Rh: 0.667 0.333 0.416
Rh: 0.713 0.857 0.116
Rh: 0.857 0.143 0.616
Rh: 0.857 0.713 0.616
Rh: 0.958 0.479 0.261

(2)
An optimized crystal structure of Al3P3H8C2NO13. Source: the Materials Project, functional PBE.

## Properties
- MP2020-corrected energy (eV/atom) = -6.815
- total DFT energy (no corrections) (eV/atom) = -6.52
- magnetization (μB per formula unit) = 1.00
- V (Å³ per atom) = 10.665
- formation enthalpy at 0 K (meV per atom) = -1957

a = 10.506 Å, b = 17.480 Å, c = 13.937 Å
α = 90.00°, β = 90.00°, γ = 90.00°
Fractional positions:
Al: 0.128 0.108 0.058
Al: 0.128 0.392 0.558
Al: 0.129 0.697 0.740
Al: 0.129 0.803 0.240
Al: 0.168 0.196 0.480
Al: 0.168 0.304 0.980
Al: 0.332 0.696 0.480
Al: 0.332 0.804 0.980
Al: 0.371 0.197 0.740
Al: 0.371 0.303 0.240
Al: 0.372 0.608 0.058
Al: 0.372 0.892 0.558
Al: 0.628 0.108 0.442
Al: 0.628 0.392 0.942
Al: 0.629 0.697 0.760
Al: 0.629 0.803 0.260
Al: 0.668 0.196 0.020
Al: 0.668 0.304 0.520
Al: 0.832 0.696 0.020
Al: 0.832 0.804 0.520
Al: 0.871 0.197 0.760
Al: 0.871 0.303 0.260
Al: 0.872 0.608 0.442
Al: 0.872 0.892 0.942
P: 0.128 0.668 0.964
P: 0.128 0.832 0.464
P: 0.129 0.203 0.253
P: 0.129 0.297 0.753
P: 0.130 0.580 0.567
P: 0.130 0.920 0.067
P: 0.370 0.080 0.567
P: 0.370 0.420 0.067
P: 0.371 0.703 0.253
P: 0.371 0.797 0.753
P: 0.372 0.168 0.964
P: 0.372 0.332 0.464
P: 0.628 0.668 0.536
P: 0.628 0.832 0.036
P: 0.629 0.203 0.247
P: 0.629 0.297 0.747
P: 0.630 0.580 0.933
P: 0.630 0.920 0.433
P: 0.870 0.080 0.933
P: 0.870 0.420 0.433
P: 0.871 0.703 0.247
P: 0.871 0.797 0.747
P: 0.872 0.168 0.536
P: 0.872 0.332 0.036
H: 0.015 0.559 0.271
H: 0.015 0.941 0.771
H: 0.055 0.507 0.856
H: 0.055 0.993 0.356
H: 0.080 0.530 0.080
H: 0.080 0.970 0.580
H: 0.093 0.058 0.643
H: 0.093 0.442 0.143
H: 0.138 0.590 0.209
H: 0.138 0.910 0.709
H: 0.140 0.056 0.817
H: 0.140 0.444 0.317
H: 0.214 0.532 0.353
H: 0.214 0.968 0.853
H: 0.233 0.516 0.746
H: 0.233 0.984 0.246
H: 0.267 0.016 0.746
H: 0.267 0.484 0.246
H: 0.286 0.032 0.353
H: 0.286 0.468 0.853
H: 0.360 0.556 0.817
H: 0.360 0.944 0.317
H: 0.362 0.090 0.209
H: 0.362 0.410 0.709
H: 0.407 0.558 0.643
H: 0.407 0.942 0.143
H: 0.420 0.030 0.080
H: 0.420 0.470 0.580
H: 0.445 0.007 0.856
H: 0.445 0.493 0.356
H: 0.485 0.059 0.271
H: 0.485 0.441 0.771
H: 0.515 0.559 0.229
H: 0.515 0.941 0.729
H: 0.555 0.507 0.644
H: 0.555 0.993 0.144
H: 0.580 0.530 0.420
H: 0.580 0.970 0.920
H: 0.593 0.058 0.857
H: 0.593 0.442 0.357
H: 0.638 0.590 0.291
H: 0.638 0.910 0.791
H: 0.640 0.056 0.683
H: 0.640 0.444 0.183
H: 0.714 0.532 0.147
H: 0.714 0.968 0.647
H: 0.733 0.516 0.754
H: 0.733 0.984 0.254
H: 0.767 0.016 0.754
H: 0.767 0.484 0.254
H: 0.786 0.032 0.147
H: 0.786 0.468 0.647
H: 0.860 0.556 0.683
H: 0.860 0.944 0.183
H: 0.862 0.090 0.291
H: 0.862 0.410 0.791
H: 0.907 0.558 0.857
H: 0.907 0.942 0.357
H: 0.920 0.030 0.420
H: 0.920 0.470 0.920
H: 0.945 0.007 0.644
H: 0.945 0.493 0.144
H: 0.985 0.059 0.229
H: 0.985 0.441 0.729
C: 0.048 0.002 0.643
C: 0.048 0.498 0.143
C: 0.185 0.003 0.792
C: 0.185 0.497 0.292
C: 0.315 0.503 0.792
C: 0.315 0.997 0.292
C: 0.452 0.502 0.643
C: 0.452 0.998 0.143
C: 0.548 0.002 0.857
C: 0.548 0.498 0.357
C: 0.685 0.003 0.708
C: 0.685 0.497 0.208
C: 0.815 0.503 0.708
C: 0.815 0.997 0.208
C: 0.952 0.502 0.857
C: 0.952 0.998 0.357
N: 0.092 0.541 0.231
N: 0.092 0.959 0.731
N: 0.408 0.041 0.231
N: 0.408 0.459 0.731
N: 0.592 0.541 0.269
N: 0.592 0.959 0.769
N: 0.908 0.041 0.269
N: 0.908 0.459 0.769
O: 0.009 0.157 0.504
O: 0.009 0.343 0.004
O: 0.009 0.733 0.240
O: 0.009 0.767 0.740
O: 0.029 0.591 0.488
O: 0.029 0.909 0.988
O: 0.090 0.624 0.660
O: 0.090 0.876 0.160
O: 0.119 0.208 0.010
O: 0.119 0.292 0.510
O: 0.126 0.132 0.187
O: 0.126 0.368 0.687
O: 0.140 0.656 0.854
O: 0.140 0.844 0.354
O: 0.142 0.004 0.093
O: 0.142 0.496 0.593
O: 0.175 0.749 0.992
O: 0.175 0.751 0.492
O: 0.177 0.177 0.352
O: 0.177 0.323 0.852
O: 0.209 0.605 0.013
O: 0.209 0.895 0.513
O: 0.220 0.236 0.711
O: 0.220 0.264 0.211
O: 0.241 0.112 0.532
O: 0.241 0.388 0.032
O: 0.259 0.612 0.532
O: 0.259 0.888 0.032
O: 0.280 0.736 0.711
O: 0.280 0.764 0.211
O: 0.291 0.105 0.013
O: 0.291 0.395 0.513
O: 0.323 0.677 0.352
O: 0.323 0.823 0.852
O: 0.325 0.249 0.992
O: 0.325 0.251 0.492
O: 0.358 0.504 0.093
O: 0.358 0.996 0.593
O: 0.360 0.156 0.854
O: 0.360 0.344 0.354
O: 0.374 0.632 0.187
O: 0.374 0.868 0.687
O: 0.381 0.708 0.010
O: 0.381 0.792 0.510
O: 0.410 0.124 0.660
O: 0.410 0.376 0.160
O: 0.471 0.091 0.488
O: 0.471 0.409 0.988
O: 0.491 0.233 0.240
O: 0.491 0.267 0.740
O: 0.491 0.657 0.504
O: 0.491 0.843 0.004
O: 0.509 0.157 0.996
O: 0.509 0.343 0.496
O: 0.509 0.733 0.260
O: 0.509 0.767 0.760
O: 0.529 0.591 0.012
O: 0.529 0.909 0.512
O: 0.590 0.624 0.840
O: 0.590 0.876 0.340
O: 0.619 0.208 0.490
O: 0.619 0.292 0.990
O: 0.626 0.132 0.313
O: 0.626 0.368 0.813
O: 0.640 0.656 0.646
O: 0.640 0.844 0.146
O: 0.642 0.004 0.407
O: 0.642 0.496 0.907
O: 0.675 0.749 0.508
O: 0.675 0.751 0.008
O: 0.677 0.177 0.148
O: 0.677 0.323 0.648
O: 0.709 0.605 0.487
O: 0.709 0.895 0.987
O: 0.720 0.236 0.789
O: 0.720 0.264 0.289
O: 0.741 0.112 0.968
O: 0.741 0.388 0.468
O: 0.759 0.612 0.968
O: 0.759 0.888 0.468
O: 0.780 0.736 0.789
O: 0.780 0.764 0.289
O: 0.791 0.105 0.487
O: 0.791 0.395 0.987
O: 0.823 0.677 0.148
O: 0.823 0.823 0.648
O: 0.825 0.249 0.508
O: 0.825 0.251 0.008
O: 0.858 0.504 0.407
O: 0.858 0.996 0.907
O: 0.860 0.156 0.646
O: 0.860 0.344 0.146
O: 0.874 0.632 0.313
O: 0.874 0.868 0.813
O: 0.881 0.708 0.490
O: 0.881 0.792 0.990
O: 0.910 0.124 0.840
O: 0.910 0.376 0.340
O: 0.971 0.091 0.012
O: 0.971 0.409 0.512
O: 0.991 0.233 0.260
O: 0.991 0.267 0.760
O: 0.991 0.657 0.996
O: 0.991 0.843 0.496